--- A ---
Rb5FeO4, relaxed, DFT PBE with a Hubbard U; volume = 24.017 Å³ per atom
1.0
11.988 0.000 0.000
0.000 12.779 0.000
0.000 0.000 12.542
Rb Fe O
40 8 32
Direct
0.074 0.145 0.111 Rb
0.074 0.355 0.611 Rb
0.098 0.657 0.874 Rb
0.098 0.843 0.374 Rb
0.139 0.619 0.160 Rb
0.139 0.881 0.660 Rb
0.161 0.108 0.383 Rb
0.161 0.392 0.883 Rb
0.162 0.608 0.607 Rb
0.162 0.892 0.107 Rb
0.338 0.108 0.607 Rb
0.338 0.392 0.107 Rb
0.339 0.608 0.383 Rb
0.339 0.892 0.883 Rb
0.361 0.119 0.160 Rb
0.361 0.381 0.660 Rb
0.402 0.157 0.874 Rb
0.402 0.343 0.374 Rb
0.426 0.645 0.111 Rb
0.426 0.855 0.611 Rb
0.574 0.145 0.389 Rb
0.574 0.355 0.889 Rb
0.598 0.657 0.626 Rb
0.598 0.843 0.126 Rb
0.639 0.619 0.340 Rb
0.639 0.881 0.840 Rb
0.661 0.108 0.117 Rb
0.661 0.392 0.617 Rb
0.662 0.608 0.893 Rb
0.662 0.892 0.393 Rb
0.838 0.108 0.893 Rb
0.838 0.392 0.393 Rb
0.839 0.608 0.117 Rb
0.839 0.892 0.617 Rb
0.861 0.119 0.340 Rb
0.861 0.381 0.840 Rb
0.902 0.157 0.626 Rb
0.902 0.343 0.126 Rb
0.926 0.645 0.389 Rb
0.926 0.855 0.889 Rb
0.117 0.136 0.848 Fe
0.117 0.364 0.348 Fe
0.383 0.636 0.848 Fe
0.383 0.864 0.348 Fe
0.617 0.136 0.652 Fe
0.617 0.364 0.152 Fe
0.883 0.636 0.652 Fe
0.883 0.864 0.152 Fe
0.016 0.234 0.922 O
0.016 0.266 0.422 O
0.025 0.035 0.772 O
0.025 0.465 0.272 O
0.212 0.070 0.957 O
0.212 0.430 0.457 O
0.214 0.224 0.760 O
0.214 0.276 0.260 O
0.286 0.724 0.760 O
0.286 0.776 0.260 O
0.288 0.570 0.957 O
0.288 0.930 0.457 O
0.475 0.535 0.772 O
0.475 0.965 0.272 O
0.484 0.734 0.922 O
0.484 0.766 0.422 O
0.516 0.234 0.578 O
0.516 0.266 0.078 O
0.525 0.035 0.728 O
0.525 0.465 0.228 O
0.712 0.070 0.543 O
0.712 0.430 0.043 O
0.714 0.224 0.740 O
0.714 0.276 0.240 O
0.786 0.724 0.740 O
0.786 0.776 0.240 O
0.788 0.570 0.543 O
0.788 0.930 0.043 O
0.975 0.535 0.728 O
0.975 0.965 0.228 O
0.984 0.734 0.578 O
0.984 0.766 0.078 O


--- B ---
Rb5FeO4, relaxed, DFT PBE with a Hubbard U; volume = 24.343 Å³ per atom
1.0
7.623 0.000 0.000
0.000 10.971 0.000
-7.147 0.000 11.644
Rb Fe O
20 4 16
Direct
0.099 0.147 0.386 Rb
0.099 0.353 0.886 Rb
0.154 0.662 0.393 Rb
0.154 0.838 0.893 Rb
0.253 0.101 0.055 Rb
0.253 0.399 0.555 Rb
0.355 0.592 0.054 Rb
0.355 0.908 0.554 Rb
0.364 0.164 0.762 Rb
0.364 0.336 0.262 Rb
0.636 0.664 0.738 Rb
0.636 0.836 0.238 Rb
0.645 0.092 0.446 Rb
0.645 0.408 0.946 Rb
0.747 0.601 0.445 Rb
0.747 0.899 0.945 Rb
0.846 0.162 0.107 Rb
0.846 0.338 0.607 Rb
0.901 0.647 0.114 Rb
0.901 0.853 0.614 Rb
0.239 0.589 0.760 Fe
0.239 0.911 0.260 Fe
0.761 0.089 0.740 Fe
0.761 0.411 0.240 Fe
0.027 0.611 0.793 O
0.027 0.889 0.293 O
0.182 0.657 0.613 O
0.182 0.843 0.113 O
0.267 0.086 0.252 O
0.267 0.414 0.752 O
0.497 0.656 0.892 O
0.497 0.844 0.392 O
0.503 0.156 0.608 O
0.503 0.344 0.108 O
0.733 0.586 0.248 O
0.733 0.914 0.748 O
0.818 0.157 0.887 O
0.818 0.343 0.387 O
0.973 0.111 0.707 O
0.973 0.389 0.207 O


--- C ---
Rb5FeO4, relaxed, DFT PBE with a Hubbard U; volume = 23.441 Å³ per atom
1.0
7.110 0.000 0.000
0.000 21.623 0.000
0.000 0.000 12.198
Rb Fe O
40 8 32
Direct
0.068 0.137 0.205 Rb
0.068 0.363 0.705 Rb
0.075 0.501 0.145 Rb
0.075 0.999 0.645 Rb
0.081 0.066 0.940 Rb
0.081 0.434 0.440 Rb
0.100 0.672 0.829 Rb
0.100 0.828 0.329 Rb
0.106 0.749 0.081 Rb
0.106 0.751 0.581 Rb
0.394 0.249 0.081 Rb
0.394 0.251 0.581 Rb
0.400 0.172 0.829 Rb
0.400 0.328 0.329 Rb
0.419 0.566 0.940 Rb
0.419 0.934 0.440 Rb
0.425 0.001 0.145 Rb
0.425 0.499 0.645 Rb
0.432 0.637 0.205 Rb
0.432 0.863 0.705 Rb
0.568 0.137 0.295 Rb
0.568 0.363 0.795 Rb
0.575 0.501 0.355 Rb
0.575 0.999 0.855 Rb
0.581 0.066 0.560 Rb
0.581 0.434 0.060 Rb
0.600 0.672 0.671 Rb
0.600 0.828 0.171 Rb
0.606 0.749 0.419 Rb
0.606 0.751 0.919 Rb
0.894 0.249 0.419 Rb
0.894 0.251 0.919 Rb
0.900 0.172 0.671 Rb
0.900 0.328 0.171 Rb
0.919 0.566 0.560 Rb
0.919 0.934 0.060 Rb
0.925 0.001 0.355 Rb
0.925 0.499 0.855 Rb
0.932 0.637 0.295 Rb
0.932 0.863 0.795 Rb
0.178 0.125 0.465 Fe
0.178 0.375 0.965 Fe
0.322 0.625 0.465 Fe
0.322 0.875 0.965 Fe
0.678 0.125 0.035 Fe
0.678 0.375 0.535 Fe
0.822 0.625 0.035 Fe
0.822 0.875 0.535 Fe
0.095 0.618 0.043 O
0.095 0.882 0.543 O
0.210 0.554 0.390 O
0.210 0.946 0.890 O
0.243 0.700 0.391 O
0.243 0.800 0.891 O
0.249 0.627 0.618 O
0.249 0.873 0.118 O
0.251 0.127 0.618 O
0.251 0.373 0.118 O
0.257 0.200 0.391 O
0.257 0.300 0.891 O
0.290 0.054 0.390 O
0.290 0.446 0.890 O
0.405 0.118 0.043 O
0.405 0.382 0.543 O
0.595 0.618 0.457 O
0.595 0.882 0.957 O
0.710 0.554 0.110 O
0.710 0.946 0.610 O
0.743 0.700 0.109 O
0.743 0.800 0.609 O
0.749 0.627 0.882 O
0.749 0.873 0.382 O
0.751 0.127 0.882 O
0.751 0.373 0.382 O
0.757 0.200 0.109 O
0.757 0.300 0.609 O
0.790 0.054 0.110 O
0.790 0.446 0.610 O
0.905 0.118 0.457 O
0.905 0.382 0.957 O


--- D ---
Rb5FeO4, relaxed, DFT PBE with a Hubbard U; volume = 23.143 Å³ per atom
1.0
8.764 0.000 0.000
0.000 7.375 0.000
0.000 0.000 7.161
Rb Fe O
10 2 8
Direct
0.000 0.189 0.000 Rb
0.189 0.561 0.670 Rb
0.202 0.124 0.494 Rb
0.298 0.876 0.994 Rb
0.311 0.439 0.170 Rb
0.500 0.811 0.500 Rb
0.689 0.439 0.170 Rb
0.702 0.876 0.994 Rb
0.798 0.124 0.494 Rb
0.811 0.561 0.670 Rb
0.000 0.679 0.251 Fe
0.500 0.321 0.751 Fe
0.000 0.419 0.321 O
0.000 0.715 0.982 O
0.192 0.780 0.346 O
0.308 0.220 0.846 O
0.500 0.285 0.482 O
0.500 0.581 0.821 O
0.692 0.220 0.846 O
0.808 0.780 0.346 O


Short version: C is the most stable of them.


--- A ---
Rb5FeO4, relaxed, DFT PBE with a Hubbard U; volume = 23.823 Å³ per atom
1.0
11.062 0.000 0.000
0.000 12.206 0.000
-0.978 0.000 7.058
Rb Fe O
20 4 16
Direct
0.005 0.135 0.424 Rb
0.005 0.365 0.924 Rb
0.132 0.069 0.950 Rb
0.132 0.431 0.450 Rb
0.264 0.704 0.505 Rb
0.264 0.796 0.005 Rb
0.351 0.176 0.667 Rb
0.351 0.324 0.167 Rb
0.489 0.578 0.229 Rb
0.489 0.922 0.729 Rb
0.511 0.078 0.271 Rb
0.511 0.422 0.771 Rb
0.649 0.676 0.833 Rb
0.649 0.824 0.333 Rb
0.736 0.204 0.995 Rb
0.736 0.296 0.495 Rb
0.868 0.569 0.550 Rb
0.868 0.931 0.050 Rb
0.995 0.635 0.076 Rb
0.995 0.865 0.576 Rb
0.247 0.533 0.884 Fe
0.247 0.967 0.384 Fe
0.753 0.033 0.616 Fe
0.753 0.467 0.116 Fe
0.105 0.600 0.741 O
0.105 0.900 0.241 O
0.230 0.535 0.152 O
0.230 0.965 0.652 O
0.260 0.120 0.307 O
0.260 0.380 0.807 O
0.393 0.614 0.846 O
0.393 0.886 0.346 O
0.607 0.114 0.654 O
0.607 0.386 0.154 O
0.740 0.620 0.193 O
0.740 0.880 0.693 O
0.770 0.035 0.348 O
0.770 0.465 0.848 O
0.895 0.100 0.759 O
0.895 0.400 0.259 O


--- B ---
Rb5FeO4, relaxed, DFT PBE with a Hubbard U; volume = 23.760 Å³ per atom
1.0
0.000 8.064 6.658
0.000 -8.064 6.658
8.851 0.000 6.658
Rb Fe O
20 4 16
Direct
0.324 0.574 0.250 Rb
0.824 0.074 0.250 Rb
0.176 0.926 0.750 Rb
0.676 0.426 0.750 Rb
0.345 0.334 0.059 Rb
0.845 0.834 0.059 Rb
0.584 0.095 0.059 Rb
0.084 0.595 0.059 Rb
0.154 0.143 0.441 Rb
0.654 0.643 0.441 Rb
0.393 0.904 0.441 Rb
0.893 0.404 0.441 Rb
0.346 0.357 0.559 Rb
0.846 0.857 0.559 Rb
0.107 0.596 0.559 Rb
0.607 0.096 0.559 Rb
0.155 0.166 0.941 Rb
0.655 0.666 0.941 Rb
0.916 0.405 0.941 Rb
0.416 0.905 0.941 Rb
0.604 0.354 0.250 Fe
0.896 0.146 0.750 Fe
0.104 0.854 0.250 Fe
0.396 0.646 0.750 Fe
0.117 0.867 0.064 O
0.617 0.367 0.064 O
0.930 0.680 0.436 O
0.430 0.180 0.436 O
0.570 0.820 0.564 O
0.070 0.320 0.564 O
0.383 0.633 0.936 O
0.883 0.133 0.936 O
0.081 0.036 0.250 O
0.581 0.536 0.250 O
0.286 0.831 0.250 O
0.786 0.331 0.250 O
0.419 0.464 0.750 O
0.919 0.964 0.750 O
0.214 0.669 0.750 O
0.714 0.169 0.750 O


Short version: A is the most stable of them.


--- A ---
FeSO5, relaxed, DFT PBE with a Hubbard U; volume = 12.139 Å³ per atom
1.0
7.108 0.000 0.000
0.000 6.499 0.000
0.000 0.000 7.357
Fe S O
4 4 20
Direct
0.127 0.250 0.248 Fe
0.373 0.750 0.748 Fe
0.627 0.250 0.252 Fe
0.873 0.750 0.752 Fe
0.127 0.750 0.130 S
0.373 0.250 0.630 S
0.627 0.750 0.370 S
0.873 0.250 0.870 S
0.048 0.250 0.984 O
0.123 0.750 0.678 O
0.127 0.569 0.250 O
0.127 0.931 0.250 O
0.202 0.250 0.513 O
0.298 0.750 0.013 O
0.373 0.069 0.750 O
0.373 0.431 0.750 O
0.377 0.250 0.178 O
0.452 0.750 0.484 O
0.548 0.250 0.516 O
0.623 0.750 0.822 O
0.627 0.569 0.250 O
0.627 0.931 0.250 O
0.702 0.250 0.987 O
0.798 0.750 0.487 O
0.873 0.069 0.750 O
0.873 0.431 0.750 O
0.877 0.250 0.322 O
0.952 0.750 0.016 O


--- B ---
FeSO5, relaxed, DFT PBE with a Hubbard U; volume = 12.343 Å³ per atom
1.0
3.439 -3.985 0.000
3.439 3.985 0.000
-2.935 0.000 6.304
Fe S O
2 2 10
Direct
0.000 0.000 0.000 Fe
0.000 0.000 0.500 Fe
0.339 0.661 0.750 S
0.661 0.339 0.250 S
0.075 0.925 0.250 O
0.148 0.685 0.876 O
0.271 0.378 0.605 O
0.315 0.852 0.624 O
0.378 0.271 0.105 O
0.622 0.729 0.895 O
0.685 0.148 0.376 O
0.729 0.622 0.395 O
0.852 0.315 0.124 O
0.925 0.075 0.750 O


Short version: B is the most stable of them.